No. 1
## FeMo2H4NO8 (GGA+U)

Data for a geometry-optimized FeMo2H4NO8 structure.

Values from the calculation:
raw total energy	-6.32	eV/atom
magnetization	5.0	μB per formula unit
density	3.33	g cm⁻³
formation energy from the elements	-1478	meV per atom

Lattice parameters (Å, degrees): 15.2326 5.7453 8.9652 90.00 90.00 90.00
Sites, in units of the cell vectors:
Fe 0.6195 0.2500 0.8139
Fe 0.1195 0.2500 0.6861
Fe 0.3805 0.7500 0.1861
Fe 0.8805 0.7500 0.3139
Mo 0.5291 0.2500 0.2032
Mo 0.0291 0.2500 0.2968
Mo 0.4709 0.7500 0.7968
Mo 0.9709 0.7500 0.7032
Mo 0.7808 0.2500 0.5059
Mo 0.2808 0.2500 0.9941
Mo 0.2192 0.7500 0.4941
Mo 0.7192 0.7500 0.0059
H 0.9299 0.2500 0.8827
H 0.4299 0.2500 0.6173
H 0.0701 0.7500 0.1173
H 0.5701 0.7500 0.3827
H 0.8219 0.2500 0.9209
H 0.3219 0.2500 0.5791
H 0.1781 0.7500 0.0791
H 0.6781 0.7500 0.4209
H 0.8918 0.1034 0.0335
H 0.3918 0.3966 0.4665
H 0.1082 0.6034 0.9665
H 0.6082 0.8966 0.5335
H 0.1082 0.8966 0.9665
H 0.6082 0.6034 0.5335
H 0.8918 0.3966 0.0335
H 0.3918 0.1034 0.4665
N 0.8840 0.2500 0.9676
N 0.3840 0.2500 0.5324
N 0.1160 0.7500 0.0324
N 0.6160 0.7500 0.4676
O 0.5533 0.2500 0.0075
O 0.0533 0.2500 0.4925
O 0.4467 0.7500 0.9925
O 0.9467 0.7500 0.5075
O 0.4643 0.9982 0.2627
O 0.9643 0.5018 0.2373
O 0.5357 0.4982 0.7373
O 0.0357 0.0018 0.7627
O 0.5357 0.0018 0.7373
O 0.0357 0.4982 0.7627
O 0.4643 0.5018 0.2627
O 0.9643 0.9982 0.2373
O 0.8658 0.2500 0.6350
O 0.3658 0.2500 0.8650
O 0.1342 0.7500 0.3650
O 0.6342 0.7500 0.1350
O 0.6780 0.2500 0.6120
O 0.1780 0.2500 0.8880
O 0.3220 0.7500 0.3880
O 0.8220 0.7500 0.1120
O 0.6257 0.2500 0.3075
O 0.1257 0.2500 0.1925
O 0.3743 0.7500 0.6925
O 0.8743 0.7500 0.8075
O 0.7947 0.9892 0.3934
O 0.2947 0.5108 0.1066
O 0.2053 0.4892 0.6066
O 0.7053 0.0108 0.8934
O 0.2053 0.0108 0.6066
O 0.7053 0.4892 0.8934
O 0.7947 0.5108 0.3934
O 0.2947 0.9892 0.1066

***

No. 2
## FeMoHSeO7 (GGA+U)

Data for a geometry-optimized FeMoHSeO7 structure.

Values from the calculation:
raw total energy	-6.20	eV/atom
magnetization	5.0	μB per formula unit
density	3.97	g cm⁻³
formation energy from the elements	-1599	meV per atom

Lattice parameters (Å, degrees): 10.4588 10.4588 13.7705 49.95 49.95 30.89
Sites, in units of the cell vectors:
Fe 0.6158 0.9172 0.3777
Fe 0.0828 0.3842 0.1223
Fe 0.3842 0.0828 0.6223
Fe 0.9172 0.6158 0.8777
Mo 0.0416 0.7501 0.4095
Mo 0.2499 0.9584 0.0905
Mo 0.9584 0.2499 0.5905
Mo 0.7501 0.0416 0.9095
H 0.7649 0.2963 0.2683
H 0.7037 0.2351 0.2317
H 0.2351 0.7037 0.7317
H 0.2963 0.7649 0.7683
Se 0.2281 0.5230 0.1762
Se 0.4770 0.7719 0.3238
Se 0.7719 0.4770 0.8238
Se 0.5230 0.2281 0.6762
O 0.8382 0.1618 0.2500
O 0.1618 0.8382 0.7500
O 0.0041 0.8657 0.4852
O 0.1343 0.9959 0.0148
O 0.9959 0.1343 0.5148
O 0.8657 0.0041 0.9852
O 0.3015 0.6985 0.2500
O 0.6985 0.3015 0.7500
O 0.2333 0.4265 0.4970
O 0.5735 0.7667 0.0030
O 0.7667 0.5735 0.5030
O 0.4265 0.2333 0.9970
O 0.7029 0.9210 0.4749
O 0.0790 0.2971 0.0251
O 0.2971 0.0790 0.5251
O 0.9210 0.7029 0.9749
O 0.9844 0.7283 0.2842
O 0.2717 0.0156 0.2158
O 0.0156 0.2717 0.7158
O 0.7283 0.9844 0.7842
O 0.4777 0.2544 0.2539
O 0.7456 0.5223 0.2461
O 0.5223 0.7456 0.7461
O 0.2544 0.4777 0.7539
O 0.1031 0.4482 0.2149
O 0.5518 0.8969 0.2851
O 0.8969 0.5518 0.7851
O 0.4482 0.1031 0.7149

***

No. 3
## FePH6N2O4 (GGA+U)

Data for a geometry-optimized FePH6N2O4 structure.

Values from the calculation:
raw total energy	-5.94	eV/atom
magnetization	5.0	μB per formula unit
density	2.43	g cm⁻³
formation energy from the elements	-1252	meV per atom

Lattice parameters (Å, degrees): 10.1909 6.4738 9.7911 51.45 90.00 90.00
Sites, in units of the cell vectors:
Fe 0.8420 0.3332 0.9118
Fe 0.6580 0.3332 0.4118
Fe 0.1580 0.6668 0.0882
Fe 0.3420 0.6668 0.5882
P 0.1629 0.2932 0.9578
P 0.3371 0.2932 0.4578
P 0.8371 0.7068 0.0422
P 0.6629 0.7068 0.5422
H 0.8745 0.0611 0.5942
H 0.6255 0.0611 0.0942
H 0.1255 0.9389 0.4058
H 0.3745 0.9389 0.9058
H 0.6326 0.3288 0.0808
H 0.8674 0.3288 0.5808
H 0.3674 0.6712 0.9192
H 0.1326 0.6712 0.4192
H 0.5776 0.3534 0.9094
H 0.9224 0.3534 0.4094
H 0.4224 0.6466 0.0906
H 0.0776 0.6466 0.5906
H 0.4747 0.8298 0.3067
H 0.0253 0.8298 0.8067
H 0.5253 0.1702 0.6933
H 0.9747 0.1702 0.1933
H 0.0711 0.0974 0.7818
H 0.4289 0.0974 0.2818
H 0.9289 0.9026 0.2182
H 0.5711 0.9026 0.7182
H 0.3244 0.9551 0.2310
H 0.1756 0.9551 0.7310
H 0.6756 0.0449 0.7690
H 0.8244 0.0449 0.2690
N 0.6432 0.2596 0.0114
N 0.8568 0.2596 0.5114
N 0.3568 0.7404 0.9886
N 0.1432 0.7404 0.4886
N 0.8971 0.0791 0.1839
N 0.6029 0.0791 0.6839
N 0.1029 0.9209 0.8161
N 0.3971 0.9209 0.3161
O 0.3489 0.3579 0.5860
O 0.1511 0.3579 0.0860
O 0.6511 0.6421 0.4140
O 0.8489 0.6421 0.9140
O 0.1808 0.9897 0.0739
O 0.3192 0.9897 0.5739
O 0.8192 0.0103 0.9261
O 0.6808 0.0103 0.4261
O 0.2837 0.4375 0.8377
O 0.2163 0.4375 0.3377
O 0.7163 0.5625 0.1623
O 0.7837 0.5625 0.6623
O 0.0361 0.3790 0.8443
O 0.4639 0.3790 0.3443
O 0.9639 0.6210 0.1557
O 0.5361 0.6210 0.6557

***

No. 4
## Fe2P2H4NO8 (GGA+U)

Data for a geometry-optimized Fe2P2H4NO8 structure.

Values from the calculation:
raw total energy	-6.42	eV/atom
magnetization	8.0	μB per formula unit
density	2.90	g cm⁻³
formation energy from the elements	-1755	meV per atom

Lattice parameters (Å, degrees): 10.4933 12.9509 12.9509 74.62 66.33 66.33
Sites, in units of the cell vectors:
Fe 0.5916 0.9863 0.8634
Fe 0.9084 0.1366 0.0137
Fe 0.4084 0.0137 0.1366
Fe 0.0916 0.8634 0.9863
Fe 0.9064 0.0095 0.6519
Fe 0.5936 0.3481 0.9905
Fe 0.0936 0.9905 0.3481
Fe 0.4064 0.6519 0.0095
Fe 0.7500 0.2965 0.7035
Fe 0.2500 0.7035 0.2965
Fe 0.2500 0.1877 0.8123
Fe 0.7500 0.8123 0.1877
Fe 0.7482 0.6920 0.8046
Fe 0.7518 0.1954 0.3080
Fe 0.2518 0.3080 0.1954
Fe 0.2482 0.8046 0.6920
P 0.4234 0.8933 0.8150
P 0.0766 0.1850 0.1067
P 0.5766 0.1067 0.1850
P 0.9234 0.8150 0.8933
P 0.0489 0.0747 0.7542
P 0.4511 0.2458 0.9253
P 0.9511 0.9253 0.2458
P 0.5489 0.7542 0.0747
P 0.9691 0.2414 0.4143
P 0.5309 0.5857 0.7586
P 0.0309 0.7586 0.5857
P 0.4691 0.4143 0.2414
P 0.5832 0.1841 0.6221
P 0.9168 0.3779 0.8159
P 0.4168 0.8159 0.3779
P 0.0832 0.6221 0.1841
H 0.2911 0.1001 0.5527
H 0.2089 0.4473 0.8999
H 0.7089 0.8999 0.4473
H 0.7911 0.5527 0.1001
H 0.2518 0.1564 0.4320
H 0.2482 0.5680 0.8436
H 0.7482 0.8436 0.5680
H 0.7518 0.4320 0.1564
H 0.4926 0.1220 0.3697
H 0.0074 0.6303 0.8780
H 0.5074 0.8780 0.6303
H 0.9926 0.3697 0.1220
H 0.3039 0.9353 0.5066
H 0.1961 0.4934 0.0647
H 0.6961 0.0647 0.4934
H 0.8039 0.5066 0.9353
H 0.8325 0.7177 0.4374
H 0.6675 0.5626 0.2823
H 0.1675 0.2823 0.5626
H 0.3325 0.4374 0.7177
H 0.9445 0.3664 0.5136
H 0.5555 0.4864 0.6336
H 0.0555 0.6336 0.4864
H 0.4445 0.5136 0.3664
H 0.6572 0.7482 0.4461
H 0.8428 0.5539 0.2518
H 0.3428 0.2518 0.5539
H 0.1572 0.4461 0.7482
H 0.7090 0.6851 0.5708
H 0.7910 0.4292 0.3149
H 0.2910 0.3149 0.4292
H 0.2090 0.5708 0.6851
N 0.3194 0.1485 0.4754
N 0.1806 0.5246 0.8515
N 0.6806 0.8515 0.5246
N 0.8194 0.4754 0.1485
N 0.7254 0.7397 0.4934
N 0.7746 0.5066 0.2603
N 0.2746 0.2603 0.5066
N 0.2254 0.4934 0.7397
O 0.5907 0.8535 0.7965
O 0.9093 0.2035 0.1465
O 0.4093 0.1465 0.2035
O 0.0907 0.7965 0.8535
O 0.3674 0.0157 0.8374
O 0.1326 0.1626 0.9843
O 0.6326 0.9843 0.1626
O 0.8674 0.8374 0.0157
O 0.3356 0.8194 0.9060
O 0.1644 0.0940 0.1806
O 0.6644 0.1806 0.0940
O 0.8356 0.9060 0.8194
O 0.4110 0.8846 0.6970
O 0.0890 0.3030 0.1154
O 0.5890 0.1154 0.3030
O 0.9110 0.6970 0.8846
O 0.1183 0.9741 0.6806
O 0.3817 0.3194 0.0259
O 0.8817 0.0259 0.3194
O 0.6183 0.6806 0.9741
O 0.9000 0.1373 0.7281
O 0.6000 0.2719 0.8627
O 0.1000 0.8627 0.2719
O 0.4000 0.7281 0.1373
O 0.0132 0.0334 0.8847
O 0.4868 0.1153 0.9666
O 0.9868 0.9666 0.1153
O 0.5132 0.8847 0.0334
O 0.1487 0.1466 0.7156
O 0.3513 0.2844 0.8534
O 0.8513 0.8534 0.2844
O 0.6487 0.7156 0.1466
O 0.0023 0.1137 0.4610
O 0.4977 0.5390 0.8863
O 0.9977 0.8863 0.5390
O 0.5023 0.4610 0.1137
O 0.1087 0.2729 0.3499
O 0.3913 0.6501 0.7271
O 0.8913 0.7271 0.6501
O 0.6087 0.3499 0.2729
O 0.8956 0.3125 0.5247
O 0.6044 0.4753 0.6875
O 0.1044 0.6875 0.4753
O 0.3956 0.5247 0.3125
O 0.8553 0.2850 0.3549
O 0.6447 0.6451 0.7150
O 0.1447 0.7150 0.6451
O 0.3553 0.3549 0.2850
O 0.6636 0.0776 0.6906
O 0.8364 0.3094 0.9224
O 0.3364 0.9224 0.3094
O 0.1636 0.6906 0.0776
O 0.6582 0.1469 0.4920
O 0.8418 0.5080 0.8531
O 0.3418 0.8531 0.5080
O 0.1582 0.4920 0.1469
O 0.6177 0.2889 0.6157
O 0.8823 0.3843 0.7111
O 0.3823 0.7111 0.3843
O 0.1177 0.6157 0.2889
O 0.4191 0.2065 0.6488
O 0.0809 0.3512 0.7935
O 0.5809 0.7935 0.3512
O 0.9191 0.6488 0.2065

***

No. 5
## FePH6N2O4 (GGA+U)

Data for a geometry-optimized FePH6N2O4 structure.

Values from the calculation:
raw total energy	-5.94	eV/atom
magnetization	5.0	μB per formula unit
density	2.41	g cm⁻³
formation energy from the elements	-1249	meV per atom

Lattice parameters (Å, degrees): 6.4531 7.6980 10.2386 90.00 90.00 90.00
Sites, in units of the cell vectors:
Fe 0.7500 0.4115 0.3407
Fe 0.7500 0.0885 0.8407
Fe 0.2500 0.5885 0.6593
Fe 0.2500 0.9115 0.1593
P 0.7500 0.4573 0.6611
P 0.7500 0.0427 0.1611
P 0.2500 0.5427 0.3389
P 0.2500 0.9573 0.8389
H 0.6217 0.5886 0.1291
H 0.8783 0.9114 0.6292
H 0.1217 0.4114 0.8708
H 0.3783 0.0886 0.3708
H 0.3783 0.4114 0.8708
H 0.1217 0.0886 0.3708
H 0.8783 0.5886 0.1291
H 0.6217 0.9114 0.6292
H 0.7500 0.4128 0.0750
H 0.7500 0.0872 0.5750
H 0.2500 0.5872 0.9250
H 0.2500 0.9128 0.4250
H 0.3785 0.2919 0.5466
H 0.1215 0.2081 0.0466
H 0.8785 0.7081 0.4534
H 0.6215 0.7919 0.9534
H 0.6215 0.7081 0.4534
H 0.8785 0.7919 0.9534
H 0.1215 0.2919 0.5466
H 0.3785 0.2081 0.0466
H 0.7500 0.7699 0.3202
H 0.7500 0.7301 0.8202
H 0.2500 0.2301 0.6798
H 0.2500 0.2699 0.1798
N 0.7500 0.5123 0.1418
N 0.7500 0.9877 0.6418
N 0.2500 0.4877 0.8582
N 0.2500 0.0123 0.3582
N 0.7500 0.6852 0.3974
N 0.7500 0.8148 0.8974
N 0.2500 0.3148 0.6026
N 0.2500 0.1852 0.1026
O 0.5596 0.5799 0.6653
O 0.9404 0.9201 0.1653
O 0.0596 0.4201 0.3347
O 0.4404 0.0799 0.8347
O 0.4404 0.4201 0.3347
O 0.0596 0.0799 0.8347
O 0.9404 0.5799 0.6653
O 0.5596 0.9201 0.1653
O 0.7500 0.3356 0.7814
O 0.7500 0.1644 0.2814
O 0.2500 0.6644 0.2186
O 0.2500 0.8356 0.7186
O 0.7500 0.3460 0.5334
O 0.7500 0.1540 0.0334
O 0.2500 0.6540 0.4666
O 0.2500 0.8460 0.9666

***

No. 6
## Fe3P6H14N3O24 (GGA+U)

Data for a geometry-optimized Fe3P6H14N3O24 structure.

Values from the calculation:
raw total energy	-6.20	eV/atom
magnetization	19.0	μB per formula unit
density	2.49	g cm⁻³
formation energy from the elements	-1680	meV per atom

Lattice parameters (Å, degrees): 7.4462 9.0316 9.5995 64.39 70.07 68.73
Sites, in units of the cell vectors:
Fe 0.2961 0.2880 0.5528
Fe 0.7039 0.7120 0.4472
Fe 0.5000 0.5000 0.0000
P 0.0592 0.4517 0.2754
P 0.9408 0.5483 0.7246
P 0.4168 0.6557 0.2775
P 0.5832 0.3443 0.7225
P 0.5798 0.1213 0.2711
P 0.4202 0.8787 0.7289
H 0.1624 0.0332 0.0827
H 0.8376 0.9668 0.9173
H 0.1868 0.2157 0.0712
H 0.8132 0.7843 0.9288
H 0.1495 0.2072 0.9108
H 0.8505 0.7928 0.0892
H 0.9662 0.2053 0.0714
H 0.0338 0.7947 0.9286
H 0.5862 0.0334 0.7227
H 0.4138 0.9666 0.2773
H 0.7955 0.4450 0.2186
H 0.2045 0.5550 0.7814
H 0.1154 0.7476 0.2435
H 0.8846 0.2524 0.7565
N 0.1174 0.1644 0.0336
N 0.8826 0.8356 0.9664
N 0.0000 0.0000 0.5000
O 0.3402 0.5193 0.4265
O 0.6598 0.4807 0.5735
O 0.5190 0.1844 0.4099
O 0.4810 0.8156 0.5901
O 0.0699 0.6235 0.7671
O 0.9301 0.3765 0.2329
O 0.2431 0.4686 0.1410
O 0.7569 0.5314 0.8590
O 0.1055 0.3258 0.4345
O 0.8945 0.6742 0.5655
O 0.6552 0.2590 0.1180
O 0.3448 0.7410 0.8820
O 0.5585 0.5837 0.1474
O 0.4415 0.4163 0.8526
O 0.2601 0.0480 0.7008
O 0.7399 0.9520 0.2992
O 0.0609 0.3685 0.7188
O 0.9391 0.6315 0.2812
O 0.4825 0.2424 0.6928
O 0.5175 0.7576 0.3072
O 0.2296 0.7970 0.2113
O 0.7704 0.2030 0.7887
O 0.3967 0.0915 0.2454
O 0.6033 0.9085 0.7546